(1)
Computed, not measured: crystalline Li4Ti3Mn3W2O16 at its relaxed geometry at the PBE+U level of DFT.

Calculated values
Formation energy from the elements in meV per atom: -2589
VASP energy in eV per atom: -7.554
Symmetry: P1

abc: 6.151 6.041 9.869
angles: 90.24 91.55 119.71
Sites, in units of the cell vectors:
Li (0.313, 0.658, 0.905)
Li (0.003, 0.001, 0.984)
Li (0.021, 0.010, 0.493)
Li (0.651, 0.328, 0.409)
Ti (0.192, 0.852, 0.215)
Ti (0.169, 0.341, 0.217)
Ti (0.345, 0.190, 0.723)
Mn (0.665, 0.825, 0.208)
Mn (0.846, 0.660, 0.705)
Mn (0.832, 0.170, 0.708)
W (0.341, 0.671, 0.489)
W (0.681, 0.340, 0.985)
O (0.181, 0.835, 0.589)
O (0.047, 0.521, 0.340)
O (0.301, 0.651, 0.110)
O (0.020, 0.007, 0.304)
O (0.024, 0.010, 0.799)
O (0.188, 0.347, 0.596)
O (0.459, 0.963, 0.341)
O (0.454, 0.495, 0.340)
O (0.332, 0.163, 0.107)
O (0.664, 0.830, 0.569)
O (0.498, 0.468, 0.854)
O (0.496, 0.041, 0.860)
O (0.623, 0.308, 0.608)
O (0.846, 0.658, 0.093)
O (0.954, 0.475, 0.857)
O (0.853, 0.182, 0.097)


(2)
Computed, not measured: crystalline LiMnVO4 at its relaxed geometry at the PBE+U level of DFT.

Calculated values
Formation energy from the elements in meV per atom: -2284
VASP energy in eV per atom: -7.117
Relative energy among the computed polymorphs in kJ/mol of atoms: 8.5
Symmetry: Imma

abc: 5.982 5.982 5.982
angles: 121.00 120.57 88.64
Sites, in units of the cell vectors:
Li (0.129, 0.379, 0.750)
Li (0.871, 0.621, 0.250)
Mn (0.500, 0.000, 0.000)
Mn (0.500, 0.500, 0.500)
V (0.000, 0.000, 0.000)
V (0.500, 0.000, 0.500)
O (0.270, 0.792, 0.023)
O (0.271, 0.242, 0.029)
O (0.713, 0.242, 0.471)
O (0.270, 0.247, 0.477)
O (0.730, 0.753, 0.523)
O (0.729, 0.758, 0.971)
O (0.287, 0.758, 0.529)
O (0.730, 0.208, 0.977)


Q: The lowest VASP energy belongs to which entry?
A: Li4Ti3Mn3W2O16


Q: Which of these has the highest VASP energy?
A: LiMnVO4